Computed, not measured: Li2CoP2O7 after structural relaxation at the GGA+U level of DFT.

Results
Its formation enthalpy at 0 K is -2.515 eV per atom. Its total energy is -6.6772 eV/atom. As for the energy above the most stable polymorph in this dataset: 2 meV/atom.

Lattice parameters (Å, degrees): 5.1898 7.2592 15.0303 92.05 90.55 98.90
Last column: nearest neighbours and their distance in Å.
Fractional positions:
Li  0.7046  0.4009  0.2206  4 O 1.99-2.14
Li  0.7046  0.9009  0.7206  4 O 1.99-2.14
Li  0.2955  0.0991  0.2794  4 O 1.99-2.14
Li  0.2954  0.5991  0.7794  4 O 1.99-2.14
Li  0.2945  0.3635  0.4972  4 O 1.92-2.10
Li  0.2944  0.8636  0.9973  4 O 1.92-2.10
Li  0.7055  0.1365  0.0027  4 O 1.92-2.10
Li  0.7056  0.6365  0.5028  4 O 1.92-2.10
Co  0.1826  0.1351  0.8634  5 O 2.04-2.15
Co  0.8174  0.8649  0.1366  5 O 2.04-2.15
Co  0.1827  0.6352  0.3634  5 O 2.04-2.15
Co  0.8174  0.3648  0.6366  5 O 2.04-2.15
P  0.7338  0.8929  0.3473  4 O 1.54-1.63
P  0.7338  0.3930  0.8473  4 O 1.54-1.63
P  0.2662  0.6070  0.1526  4 O 1.54-1.63
P  0.2662  0.1070  0.6527  4 O 1.54-1.63
P  0.7695  0.2743  0.4132  4 O 1.51-1.63
P  0.7694  0.7743  0.9132  4 O 1.51-1.63
P  0.2305  0.2258  0.0868  4 O 1.51-1.63
P  0.2306  0.7256  0.5868  4 O 1.51-1.63
O  0.1708  0.7749  0.1106  1 P 1.54
O  0.1708  0.2749  0.6106  1 P 1.54
O  0.8292  0.7250  0.3894  1 P 1.54
O  0.8291  0.2251  0.8894  1 P 1.54
O  0.8986  0.9632  0.2676  1 P 1.54
O  0.8986  0.4632  0.7675  1 P 1.54
O  0.1014  0.5369  0.2325  1 P 1.54
O  0.1014  0.0368  0.7324  1 P 1.54
O  0.9462  0.1368  0.1004  1 P 1.54
O  0.9462  0.6368  0.6004  1 P 1.54
O  0.0539  0.3632  0.3996  1 P 1.54
O  0.0538  0.8632  0.8996  1 P 1.54
O  0.4379  0.8634  0.3282  1 P 1.54
O  0.4378  0.3634  0.8282  1 P 1.54
O  0.5621  0.6366  0.1718  1 P 1.54
O  0.5622  0.1366  0.6718  1 P 1.54
O  0.5865  0.2921  0.3360  1 P 1.51
O  0.5864  0.7922  0.8360  1 P 1.51
O  0.4135  0.2079  0.1640  1 P 1.51
O  0.4135  0.7079  0.6640  1 P 1.51
O  0.2149  0.4453  0.0735  2 P 1.63
O  0.2149  0.9453  0.5735  2 P 1.63
O  0.7851  0.0547  0.4265  2 P 1.63
O  0.7850  0.5547  0.9265  2 P 1.63
O  0.3356  0.6553  0.4975  1 P 1.55
O  0.3356  0.1554  0.9975  1 P 1.55
O  0.6644  0.8446  0.0025  1 P 1.55
O  0.6644  0.3447  0.5025  1 P 1.55


Computed, not measured: Li2CoP2O7 after structural relaxation at the GGA+U level of DFT.

Results
As for the space-group type: C2/c. Its formation enthalpy at 0 K is -2.377 eV per atom. Its total energy is -6.5385 eV/atom. As for the energy above the most stable polymorph in this dataset: 140 meV/atom.

Lattice parameters (Å, degrees): 5.2338 5.2338 11.5363 95.54 95.54 55.26
Last column: nearest neighbours and their distance in Å.
Fractional positions:
Li  0.0795  0.6239  0.8391  2 O 1.97-2.11
Li  0.3761  0.9205  0.6609  2 O 1.97-2.11
Li  0.6239  0.0795  0.3391  2 O 1.97-2.11
Li  0.9205  0.3761  0.1609  2 O 1.97-2.11
Co  0.0000  0.5000  0.5000  6 O 2.02-2.26
Co  0.5000  0.0000  0.0000  6 O 2.02-2.26
P  0.2408  0.6547  0.1273  3 O 1.50-1.54
P  0.3453  0.7592  0.3727  3 O 1.50-1.54
P  0.6547  0.2408  0.6273  3 O 1.50-1.54
P  0.7592  0.3453  0.8727  3 O 1.50-1.54
O  0.0432  0.1999  0.9544  1 P 1.50
O  0.1122  0.8878  0.2500  2 P 1.69
O  0.1999  0.0432  0.4544  1 P 1.50
O  0.3180  0.5012  0.4048  1 P 1.52
O  0.3280  0.3499  0.6604  1 P 1.54
O  0.3499  0.3280  0.1604  1 P 1.54
O  0.4988  0.6820  0.0952  1 P 1.52
O  0.5012  0.3180  0.9048  1 P 1.52
O  0.6501  0.6720  0.8396  1 P 1.54
O  0.6720  0.6501  0.3396  1 P 1.54
O  0.6820  0.4988  0.5952  1 P 1.52
O  0.8001  0.9568  0.5456  1 P 1.50
O  0.8878  0.1122  0.7500  2 P 1.69
O  0.9568  0.8001  0.0456  1 P 1.50


Computed, not measured: LiCo2P2O8 after structural relaxation at the GGA+U level of DFT.

Results
As for the space-group type: Pca2_1. Its formation enthalpy at 0 K is -2.175 eV per atom. Its total energy is -6.6184 eV/atom. As for the energy above the most stable polymorph in this dataset: 74 meV/atom.

Lattice parameters (Å, degrees): 10.3287 5.1360 13.6032 90.00 90.00 90.00
Last column: nearest neighbours and their distance in Å.
Fractional positions:
Li  0.0335  0.0561  0.0000  4 O 2.01-2.10
Li  0.4665  0.0561  0.5000  4 O 2.01-2.10
Li  0.5335  0.9439  0.0000  4 O 2.01-2.10
Li  0.9665  0.9439  0.5000  4 O 2.01-2.10
Co  0.0321  0.9305  0.7494  4 O 1.96-2.03
Co  0.2179  0.5550  0.9984  4 O 1.83-1.91
Co  0.2821  0.5550  0.4984  4 O 1.83-1.91
Co  0.4679  0.9305  0.2494  4 O 1.96-2.03
Co  0.5321  0.0695  0.7494  4 O 1.96-2.03
Co  0.7179  0.4450  0.9984  4 O 1.83-1.91
Co  0.7821  0.4450  0.4984  4 O 1.83-1.91
Co  0.9679  0.0695  0.2494  4 O 1.96-2.03
P  0.0296  0.4361  0.6220  4 O 1.52-1.58
P  0.2182  0.0541  0.3750  4 O 1.52-1.59
P  0.2818  0.0541  0.8750  4 O 1.52-1.59
P  0.4704  0.4361  0.1220  4 O 1.52-1.58
P  0.5296  0.5639  0.6220  4 O 1.52-1.58
P  0.7182  0.9459  0.3750  4 O 1.52-1.59
P  0.7818  0.9459  0.8750  4 O 1.52-1.59
P  0.9704  0.5639  0.1220  4 O 1.52-1.58
O  0.0059  0.1386  0.6250  1 P 1.55
O  0.0125  0.4304  0.2168  1 P 1.52
O  0.0450  0.4513  0.0295  1 P 1.58
O  0.0706  0.0053  0.3745  1 P 1.55
O  0.1758  0.4967  0.6038  1 P 1.56
O  0.2166  0.9669  0.7804  1 P 1.52
O  0.2194  0.9145  0.9677  1 P 1.59
O  0.2466  0.3507  0.3912  1 P 1.57
O  0.2534  0.3507  0.8912  1 P 1.57
O  0.2806  0.9145  0.4677  1 P 1.59
O  0.2834  0.9669  0.2804  1 P 1.52
O  0.3242  0.4967  0.1038  1 P 1.56
O  0.4294  0.0053  0.8745  1 P 1.55
O  0.4550  0.4513  0.5295  1 P 1.58
O  0.4875  0.4304  0.7168  1 P 1.52
O  0.4941  0.1386  0.1250  1 P 1.55
O  0.5059  0.8614  0.6250  1 P 1.55
O  0.5125  0.5696  0.2168  1 P 1.52
O  0.5450  0.5487  0.0295  1 P 1.58
O  0.5706  0.9947  0.3745  1 P 1.55
O  0.6758  0.5033  0.6038  1 P 1.56
O  0.7166  0.0331  0.7804  1 P 1.52
O  0.7194  0.0855  0.9677  1 P 1.59
O  0.7466  0.6493  0.3912  1 P 1.57
O  0.7534  0.6493  0.8912  1 P 1.57
O  0.7806  0.0855  0.4677  1 P 1.59
O  0.7834  0.0331  0.2804  1 P 1.52
O  0.8242  0.5033  0.1038  1 P 1.56
O  0.9294  0.9947  0.8745  1 P 1.55
O  0.9550  0.5487  0.5295  1 P 1.58
O  0.9875  0.5696  0.7168  1 P 1.52
O  0.9941  0.8614  0.1250  1 P 1.55


Computed, not measured: LiCoP3O9 after structural relaxation at the GGA+U level of DFT.

Results
As for the space-group type: Pbcm. Its formation enthalpy at 0 K is -2.481 eV per atom. Its total energy is -6.9070 eV/atom. As for the energy above the most stable polymorph in this dataset: 24 meV/atom.

Lattice parameters (Å, degrees): 5.1629 12.0763 13.2081 90.00 90.00 90.00
Last column: nearest neighbours and their distance in Å.
Fractional positions:
Li  0.0078  0.0029  0.2500  4 O 2.06-2.29
Li  0.0078  0.4971  0.7500  4 O 2.06-2.29
Li  0.9922  0.5029  0.2500  4 O 2.06-2.29
Li  0.9922  0.9971  0.7500  4 O 2.06-2.29
Co  0.0000  0.0000  0.0000  6 O 2.05-2.21
Co  0.0000  0.0000  0.5000  6 O 2.05-2.21
Co  0.0000  0.5000  0.0000  6 O 2.05-2.21
Co  0.0000  0.5000  0.5000  6 O 2.05-2.21
P  0.2451  0.2500  0.0000  4 O 1.50-1.62
P  0.2451  0.2500  0.5000  4 O 1.50-1.62
P  0.4948  0.0889  0.1386  4 O 1.51-1.61
P  0.4948  0.0889  0.3614  4 O 1.51-1.61
P  0.4948  0.4111  0.6386  4 O 1.51-1.61
P  0.4948  0.4111  0.8614  4 O 1.51-1.61
P  0.5052  0.5889  0.1386  4 O 1.51-1.61
P  0.5052  0.5889  0.3614  4 O 1.51-1.61
P  0.5052  0.9111  0.6386  4 O 1.51-1.61
P  0.5052  0.9111  0.8614  4 O 1.51-1.61
P  0.7549  0.7500  0.0000  4 O 1.50-1.62
P  0.7549  0.7500  0.5000  4 O 1.50-1.62
O  0.0995  0.1562  0.5476  1 P 1.50
O  0.0995  0.1562  0.9524  1 P 1.50
O  0.0995  0.3438  0.0476  1 P 1.50
O  0.0995  0.3438  0.4524  1 P 1.50
O  0.2251  0.5545  0.1330  1 P 1.51
O  0.2251  0.5545  0.3670  1 P 1.51
O  0.2251  0.9455  0.6330  1 P 1.51
O  0.2251  0.9455  0.8670  1 P 1.51
O  0.2874  0.0046  0.1152  1 P 1.51
O  0.2874  0.0046  0.3848  1 P 1.51
O  0.2874  0.4954  0.6152  1 P 1.51
O  0.2874  0.4954  0.8848  1 P 1.51
O  0.4359  0.1368  0.2500  2 P 1.61
O  0.4359  0.3632  0.7500  2 P 1.61
O  0.4567  0.2019  0.0788  2 P 1.59-1.62
O  0.4567  0.2019  0.4212  2 P 1.59-1.62
O  0.4567  0.2981  0.5788  2 P 1.59-1.62
O  0.4567  0.2981  0.9212  2 P 1.59-1.62
O  0.5433  0.7019  0.0788  2 P 1.59-1.62
O  0.5433  0.7019  0.4212  2 P 1.59-1.62
O  0.5433  0.7981  0.5788  2 P 1.59-1.62
O  0.5433  0.7981  0.9212  2 P 1.59-1.62
O  0.5641  0.6368  0.2500  2 P 1.61
O  0.5641  0.8632  0.7500  2 P 1.61
O  0.7126  0.5046  0.1152  1 P 1.51
O  0.7126  0.5046  0.3848  1 P 1.51
O  0.7126  0.9954  0.6152  1 P 1.51
O  0.7126  0.9954  0.8848  1 P 1.51
O  0.7749  0.0545  0.1330  1 P 1.51
O  0.7749  0.0545  0.3670  1 P 1.51
O  0.7749  0.4455  0.6330  1 P 1.51
O  0.7749  0.4455  0.8670  1 P 1.51
O  0.9005  0.6562  0.5476  1 P 1.50
O  0.9005  0.6562  0.9524  1 P 1.50
O  0.9005  0.8438  0.0476  1 P 1.50
O  0.9005  0.8438  0.4524  1 P 1.50